Li7Mn2Co3O12 | GGA+U | relaxed

a b c (Å): 15.3777 2.8874 11.8117
angles (deg): 90.00 124.99 90.00
Space group Cm (No. 8)
Asymmetric unit:
Li 0.0000 0.0000 0.0000
Li 0.0033 0.0000 0.7624
Li 0.0075 0.0000 0.5183
Li 0.1592 0.5000 0.9892
Li 0.1726 0.5000 0.5225
Li 0.3284 0.0000 0.0036
Li 0.3502 0.0000 0.5253
Mn 0.1725 0.5000 0.2648
Mn 0.3422 0.0000 0.7651
Co 0.0023 0.0000 0.2622
Co 0.1539 0.5000 0.7516
Co 0.3369 0.0000 0.2558
O 0.0107 0.5000 0.6353
O 0.0165 0.5000 0.1600
O 0.1687 0.0000 0.1513
O 0.1701 0.0000 0.8746
O 0.1754 0.0000 0.3767
O 0.1810 0.0000 0.6522
O 0.3257 0.5000 0.3701
O 0.3346 0.5000 0.1377
O 0.3356 0.5000 0.6494
O 0.3355 0.5000 0.8722
O 0.4900 0.0000 0.8778
O 0.4994 0.0000 0.3728

## Properties
- electronic total energy (eV/atom) = -5.857
- energy above the lowest structure with this stoichiometry (eV/f.u.) = 1.731
- ΔE_f (kJ per mole of atoms) = -179.6
- M_tot (μB/f.u.) = 10.00